First-principles (PBE+U) data for a relaxed structure of BaNiO3, as listed in the Materials Project.

Summary:
- Formation energy: -1695.8 meV/atom

Unit cell a=4.0307 b=4.0307 c=4.0307 alpha=90.00 beta=90.00 gamma=90.00
Closest atoms and distances in Å follow each position.
Space group Pm-3m (No. 221)
Inequivalent atoms, fractional coordinates:
Ba (0.0000, 0.0000, 0.0000) [1 per cell]  12 O 2.85
Ni (0.5000, 0.5000, 0.5000) [1 per cell]  6 O 2.02
O (0.0000, 0.5000, 0.5000) [3 per cell]  2 Ni 2.02